No. 1
# Sr2Ca2GaCu3O9

A relaxed Sr2Ca2GaCu3O9 crystal (PBE, the Materials Project database).

Cell: 29.851 5.479 5.388 Å, 90.00 90.00 90.00°
Space group Ima2 (No. 46)
Inequivalent atoms, fractional coordinates:
Sr  0.173  0.015  0.000 [8 per cell]
Ca  0.056  0.501  0.505 [8 per cell]
Ga  0.250  0.571  0.955 [4 per cell]
Cu  0.000  0.000  0.507 [4 per cell]
Cu  0.114  0.000  0.504 [8 per cell]
O  0.001  0.749  0.758 [8 per cell]
O  0.105  0.249  0.252 [8 per cell]
O  0.109  0.748  0.255 [8 per cell]
O  0.193  0.043  0.522 [8 per cell]
O  0.250  0.615  0.604 [4 per cell]

No. 2
# Sm25Ni49P33

A relaxed Sm25Ni49P33 crystal (PBE, the Materials Project database).

Cell: 3.893 22.065 38.198 Å, 90.00 90.00 90.00°
Space group Amm2 (No. 38)
Inequivalent atoms, fractional coordinates:
Sm  0.000  0.000  0.000 [2 per cell]
Sm  0.000  0.000  0.177 [2 per cell]
Sm  0.000  0.089  0.910 [4 per cell]
Sm  0.000  0.090  0.089 [4 per cell]
Sm  0.000  0.179  0.000 [4 per cell]
Sm  0.000  0.234  0.411 [4 per cell]
Sm  0.500  0.000  0.426 [2 per cell]
Sm  0.500  0.000  0.607 [2 per cell]
Sm  0.500  0.000  0.786 [2 per cell]
Sm  0.500  0.089  0.696 [4 per cell]
Sm  0.500  0.090  0.518 [4 per cell]
Sm  0.500  0.139  0.286 [4 per cell]
Sm  0.500  0.177  0.785 [4 per cell]
Sm  0.500  0.179  0.607 [4 per cell]
Sm  0.500  0.232  0.195 [4 per cell]
Ni  0.000  0.000  0.369 [2 per cell]
Ni  0.000  0.000  0.488 [2 per cell]
Ni  0.000  0.000  0.666 [2 per cell]
Ni  0.000  0.000  0.848 [2 per cell]
Ni  0.000  0.054  0.315 [4 per cell]
Ni  0.000  0.055  0.249 [4 per cell]
Ni  0.000  0.089  0.756 [4 per cell]
Ni  0.000  0.090  0.577 [4 per cell]
Ni  0.000  0.098  0.402 [4 per cell]
Ni  0.000  0.139  0.164 [4 per cell]
Ni  0.000  0.153  0.347 [4 per cell]
Ni  0.000  0.178  0.848 [4 per cell]
Ni  0.000  0.179  0.666 [4 per cell]
Ni  0.000  0.184  0.487 [4 per cell]
Ni  0.000  0.227  0.075 [4 per cell]
Ni  0.000  0.232  0.255 [4 per cell]
Ni  0.500  0.000  0.119 [2 per cell]
Ni  0.500  0.000  0.292 [2 per cell]
Ni  0.500  0.000  0.940 [2 per cell]
Ni  0.500  0.062  0.354 [4 per cell]
Ni  0.500  0.088  0.847 [4 per cell]
Ni  0.500  0.090  0.030 [4 per cell]
Ni  0.500  0.095  0.208 [4 per cell]
Ni  0.500  0.140  0.443 [4 per cell]
Ni  0.500  0.178  0.940 [4 per cell]
Ni  0.500  0.184  0.120 [4 per cell]
Ni  0.500  0.228  0.532 [4 per cell]
Ni  0.500  0.234  0.348 [4 per cell]
P  0.000  0.000  0.548 [2 per cell]
P  0.000  0.000  0.726 [2 per cell]
P  0.000  0.089  0.460 [4 per cell]
P  0.000  0.089  0.636 [4 per cell]
P  0.000  0.089  0.815 [4 per cell]
P  0.000  0.146  0.225 [4 per cell]
P  0.000  0.178  0.548 [4 per cell]
P  0.000  0.178  0.726 [4 per cell]
P  0.000  0.233  0.136 [4 per cell]
P  0.000  0.235  0.314 [4 per cell]
P  0.500  0.000  0.059 [2 per cell]
P  0.500  0.000  0.235 [2 per cell]
P  0.500  0.000  0.881 [2 per cell]
P  0.500  0.089  0.970 [4 per cell]
P  0.500  0.090  0.147 [4 per cell]
P  0.500  0.147  0.382 [4 per cell]
P  0.500  0.177  0.881 [4 per cell]
P  0.500  0.178  0.059 [4 per cell]
P  0.500  0.234  0.470 [4 per cell]

No. 3
# Er6Al43Cr4

A relaxed Er6Al43Cr4 crystal (PBE, the Materials Project database).

Cell: 10.8878 10.8878 17.3953 Å, 90.00 90.00 120.00°
Space group P6_3/mcm (No. 193)
Inequivalent atoms, fractional coordinates:
Er  0.0000  0.4697  0.0952 [12 per cell]
Al  0.0000  0.1452  0.7500 [6 per cell]
Al  0.0000  0.1551  0.1159 [12 per cell]
Al  0.0000  0.2519  0.5306 [12 per cell]
Al  0.1445  0.5483  0.2500 [12 per cell]
Al  0.1589  0.3908  0.6651 [24 per cell]
Al  0.2467  0.4935  0.0000 [12 per cell]
Al  0.3333  0.6667  0.1274 [8 per cell]
Cr  0.0000  0.0000  0.0000 [2 per cell]
Cr  0.0000  0.2703  0.2500 [6 per cell]

No. 4
# AcCe3

A relaxed AcCe3 crystal (PBE, the Materials Project database).

Cell: 7.1745 7.1745 5.8773 Å, 90.00 90.00 120.00°
Space group P6_3/mmc (No. 194)
Inequivalent atoms, fractional coordinates:
Ac  0.3333  0.6667  0.2500 [2 per cell]
Ce  0.1565  0.3130  0.7500 [6 per cell]

No. 5
# H6PbCNCl3

A relaxed H6PbCNCl3 crystal (PBE, the Materials Project database).

Cell: 8.218 8.218 12.350 Å, 89.11 88.69 89.97°
Space group P1 (No. 1)
Inequivalent atoms, fractional coordinates:
H  0.000  0.000  0.000 [1 per cell]
H  0.002  0.036  0.678 [1 per cell]
H  0.004  0.911  0.501 [1 per cell]
H  0.022  0.880  0.183 [1 per cell]
H  0.080  0.091  0.177 [1 per cell]
H  0.100  0.841  0.682 [1 per cell]
H  0.121  0.075  0.495 [1 per cell]
H  0.135  0.850  0.001 [1 per cell]
H  0.198  0.043  0.994 [1 per cell]
H  0.205  0.889  0.498 [1 per cell]
H  0.221  0.023  0.677 [1 per cell]
H  0.233  0.936  0.178 [1 per cell]
H  0.500  0.504  0.500 [1 per cell]
H  0.506  0.503  0.996 [1 per cell]
H  0.522  0.381  0.682 [1 per cell]
H  0.525  0.376  0.180 [1 per cell]
H  0.573  0.589  0.177 [1 per cell]
H  0.585  0.590  0.677 [1 per cell]
H  0.631  0.351  0.499 [1 per cell]
H  0.649  0.357  0.998 [1 per cell]
H  0.698  0.543  0.493 [1 per cell]
H  0.701  0.551  0.997 [1 per cell]
H  0.733  0.441  0.178 [1 per cell]
H  0.735  0.431  0.676 [1 per cell]
Pb  0.109  0.460  0.861 [1 per cell]
Pb  0.110  0.461  0.361 [1 per cell]
Pb  0.609  0.959  0.861 [1 per cell]
Pb  0.610  0.967  0.361 [1 per cell]
C  0.108  0.965  0.651 [1 per cell]
C  0.112  0.968  0.151 [1 per cell]
C  0.611  0.468  0.150 [1 per cell]
C  0.613  0.467  0.650 [1 per cell]
N  0.110  0.960  0.530 [1 per cell]
N  0.111  0.965  0.030 [1 per cell]
N  0.610  0.465  0.529 [1 per cell]
N  0.616  0.468  0.029 [1 per cell]
Cl  0.110  0.465  0.146 [1 per cell]
Cl  0.112  0.464  0.646 [1 per cell]
Cl  0.344  0.192  0.886 [1 per cell]
Cl  0.346  0.730  0.391 [1 per cell]
Cl  0.369  0.687  0.888 [1 per cell]
Cl  0.378  0.232  0.386 [1 per cell]
Cl  0.611  0.962  0.146 [1 per cell]
Cl  0.612  0.965  0.646 [1 per cell]
Cl  0.837  0.220  0.889 [1 per cell]
Cl  0.846  0.700  0.390 [1 per cell]
Cl  0.875  0.724  0.890 [1 per cell]
Cl  0.879  0.198  0.386 [1 per cell]

## Properties
- Distance to the lowest polymorph of the same formula: 6.7 meV per atom

No. 6
# Co3Se

A relaxed Co3Se crystal (PBE, the Materials Project database).

Cell: 3.567 3.567 3.567 Å, 90.00 90.00 90.00°
Space group Pm-3m (No. 221)
Inequivalent atoms, fractional coordinates:
Co  0.000  0.000  0.500 [3 per cell]
Se  0.500  0.500  0.500 [1 per cell]

| no. | energy of formation (eV per atom) |
| --- | --- |
| 1 | -2.248 |
| 2 | -0.997 |
| 3 | -0.265 |
| 4 | 0.193 |
| 5 | -0.755 |
| 6 | 0.141 |